VASP calculation (PBE+U) on an optimized crystal structure of ThW2O8. Values from VASP.

Properties
**Crystal system**: orthorhombic
**Electronic total energy**: -8.05 eV/atom
**Space-group type**: Pbca

```
&SYSTEM
  ibrav = 0, nat = 88, ntyp = 3
/
ATOMIC_SPECIES
Th 232.04 Th.upf
W 183.84 W.upf
O 16.00 O.upf
CELL_PARAMETERS angstrom
9.9387 0.0000 0.0000
0.0000 14.8201 0.0000
0.0000 0.0000 10.5271
ATOMIC_POSITIONS angstrom
Th 2.2288 1.6184 0.3622
Th 2.2288 5.7917 5.6257
Th 2.7406 9.0284 0.3622
Th 2.7406 13.2017 5.6257
Th 7.1981 1.6184 4.9014
Th 7.1981 5.7917 10.1649
Th 7.7099 9.0284 4.9014
Th 7.7099 13.2017 10.1649
W 0.0117 8.2940 8.1689
W 0.0117 13.9361 2.9054
W 1.8052 9.6603 4.1600
W 1.8052 12.5698 9.4236
W 3.1642 2.2502 4.1600
W 3.1642 5.1598 9.4236
W 4.9577 0.8840 8.1689
W 4.9577 6.5261 2.9054
W 4.9810 8.2940 7.6217
W 4.9810 13.9361 2.3582
W 6.7746 9.6603 1.1035
W 6.7746 12.5698 6.3671
W 8.1335 2.2502 1.1035
W 8.1335 5.1598 6.3671
W 9.9270 0.8840 7.6217
W 9.9270 6.5261 2.3582
O 0.0094 9.7190 4.3986
O 0.0094 12.5111 9.6622
O 0.9199 7.7953 1.4613
O 0.9199 9.3441 9.3654
O 0.9199 12.8860 4.1018
O 0.9199 14.4348 6.7249
O 1.1032 1.8353 8.6896
O 1.1032 5.5747 3.4261
O 1.1698 7.4663 7.0499
O 1.1698 14.7638 1.7863
O 2.2749 10.0452 2.4519
O 2.2749 12.1849 7.7154
O 2.3519 3.4161 5.2810
O 2.3519 3.9940 0.0175
O 2.3513 7.9669 4.5156
O 2.3513 14.2632 9.7791
O 2.6180 0.5568 4.5156
O 2.6180 6.8532 9.7791
O 2.6175 10.8261 5.2810
O 2.6175 11.4040 0.0175
O 2.6945 2.6352 2.4519
O 2.6945 4.7749 7.7154
O 3.7995 0.0563 7.0499
O 3.7995 7.3538 1.7863
O 3.8661 9.2454 8.6896
O 3.8661 12.9847 3.4261
O 4.0494 0.3852 1.4613
O 4.0494 1.9340 9.3654
O 4.0494 5.4760 4.1018
O 4.0494 7.0248 6.7249
O 4.9599 2.3089 4.3986
O 4.9599 5.1011 9.6622
O 4.9788 9.7190 0.8649
O 4.9788 12.5111 6.1285
O 5.8893 7.7953 3.8022
O 5.8893 9.3441 6.4253
O 5.8893 12.8860 1.1617
O 5.8893 14.4348 9.0658
O 6.0726 1.8353 7.1010
O 6.0726 5.5747 1.8375
O 6.1392 7.4663 8.7408
O 6.1392 14.7638 3.4772
O 7.2442 10.0452 2.8117
O 7.2442 12.1849 8.0752
O 7.3212 3.4161 10.5096
O 7.3212 3.9940 5.2461
O 7.3207 7.9669 0.7480
O 7.3207 14.2632 6.0115
O 7.5874 0.5568 0.7480
O 7.5874 6.8532 6.0115
O 7.5868 10.8261 10.5096
O 7.5868 11.4040 5.2461
O 7.6639 2.6352 2.8117
O 7.6639 4.7749 8.0752
O 8.7689 0.0563 8.7408
O 8.7689 7.3538 3.4772
O 8.8355 9.2454 7.1010
O 8.8355 12.9847 1.8375
O 9.0188 0.3852 3.8022
O 9.0188 1.9340 6.4253
O 9.0188 5.4760 1.1617
O 9.0188 7.0248 9.0658
O 9.9293 2.3089 0.8649
O 9.9293 5.1011 6.1285
```

---

VASP calculation (PBE+U) on an optimized crystal structure of TiV2O7. Values from VASP.

Properties
**Crystal system**: cubic
**Electronic total energy**: -7.94 eV/atom
**Space-group type**: Pa-3

```
&SYSTEM
  ibrav = 0, nat = 40, ntyp = 3
/
ATOMIC_SPECIES
Ti 47.87 Ti.upf
V 50.94 V.upf
O 16.00 O.upf
CELL_PARAMETERS angstrom
8.7375 0.0000 0.0000
0.0000 8.7375 0.0000
0.0000 0.0000 8.7375
ATOMIC_POSITIONS angstrom
Ti 0.0000 0.0000 0.0000
Ti 0.0000 4.3687 4.3687
Ti 4.3687 0.0000 4.3687
Ti 4.3687 4.3687 0.0000
V 1.0303 5.3990 7.7072
V 1.0303 7.7072 3.3384
V 3.3384 1.0303 7.7072
V 3.3384 3.3384 3.3384
V 5.3990 5.3990 5.3990
V 5.3990 7.7072 1.0303
V 7.7072 1.0303 5.3990
V 7.7072 3.3384 1.0303
O 0.0000 0.0000 4.3687
O 0.0000 4.3687 0.0000
O 0.5523 6.0709 3.5705
O 0.5523 7.0353 7.9393
O 0.7982 4.9210 6.0709
O 0.7982 8.1852 1.7022
O 1.7022 0.7982 8.1852
O 1.7022 3.5705 3.8165
O 2.6665 5.1669 8.1852
O 2.6665 7.9393 3.8165
O 3.5705 0.5523 6.0709
O 3.5705 3.8165 1.7022
O 3.8165 1.7022 3.5705
O 3.8165 2.6665 7.9393
O 4.3687 0.0000 0.0000
O 4.3687 4.3687 4.3687
O 4.9210 6.0709 0.7982
O 4.9210 7.0353 5.1669
O 5.1669 4.9210 7.0353
O 5.1669 8.1852 2.6665
O 6.0709 0.7982 4.9210
O 6.0709 3.5705 0.5523
O 7.0353 5.1669 4.9210
O 7.0353 7.9393 0.5523
O 7.9393 0.5523 7.0353
O 7.9393 3.8165 2.6665
O 8.1852 1.7022 0.7982
O 8.1852 2.6665 5.1669
```

---

VASP calculation (PBE+U) on an optimized crystal structure of TiVO4. Values from VASP.

Properties
**Crystal system**: orthorhombic
**Electronic total energy**: -8.34 eV/atom
**Space-group type**: Imm2

```
&SYSTEM
  ibrav = 0, nat = 6, ntyp = 3
/
ATOMIC_SPECIES
Ti 47.87 Ti.upf
V 50.94 V.upf
O 16.00 O.upf
CELL_PARAMETERS angstrom
-1.8513 1.9422 4.8578
1.8513 -1.9422 4.8578
1.8513 1.9422 -4.8578
ATOMIC_POSITIONS angstrom
Ti 0.0000 0.0000 0.0000
V 0.0000 1.9422 2.3053
O 0.0000 0.0000 1.9378
O 0.0000 1.9422 0.3804
O 0.0000 0.0000 7.5767
O 0.0000 1.9422 4.3712
```

---

VASP calculation (PBE+U) on an optimized crystal structure of TiVO4. Values from VASP.

Properties
**Electronic total energy**: -8.35 eV/atom

```
&SYSTEM
  ibrav = 0, nat = 24, ntyp = 3
/
ATOMIC_SPECIES
Ti 47.87 Ti.upf
V 50.94 V.upf
O 16.00 O.upf
CELL_PARAMETERS angstrom
3.0033 0.0000 0.0000
0.0000 4.5702 4.5702
0.0000 -9.1921 9.1921
ATOMIC_POSITIONS angstrom
Ti 1.5017 -2.3109 6.8812
Ti 1.5017 -6.8941 6.8941
Ti 1.5017 2.2851 2.2851
Ti 1.5017 -2.2980 2.2980
V 0.0000 -4.5961 4.5961
V 0.0000 -4.6090 9.1792
V 0.0000 0.0000 0.0000
V 0.0000 -0.0129 4.5831
O 0.0000 -3.2211 5.9710
O 0.0000 -3.2340 10.5541
O 0.0000 1.3749 1.3749
O 0.0000 1.3620 5.9581
O 0.0000 -1.4007 7.7914
O 0.0000 -5.9839 7.8043
O 0.0000 3.1953 3.1953
O 0.0000 -1.3878 3.2082
O 1.5017 -0.9144 5.4846
O 1.5017 -5.4975 5.4975
O 1.5017 -5.5104 10.0807
O 1.5017 -0.9015 0.9015
O 1.5017 -3.7075 8.2777
O 1.5017 -8.2906 8.2906
O 1.5017 0.8886 3.6817
O 1.5017 -3.6946 3.6946
```

---

VASP calculation (PBE+U) on an optimized crystal structure of TiVO4. Values from VASP.

Properties
**Crystal system**: monoclinic
**Electronic total energy**: -8.31 eV/atom
**Space-group type**: Cc

```
&SYSTEM
  ibrav = 0, nat = 24, ntyp = 3
/
ATOMIC_SPECIES
Ti 47.87 Ti.upf
V 50.94 V.upf
O 16.00 O.upf
CELL_PARAMETERS angstrom
3.8189 -3.7876 0.0000
3.8189 3.7876 0.0000
-3.8188 0.0000 9.6999
ATOMIC_POSITIONS angstrom
Ti 1.9095 2.8644 4.8500
Ti 3.8379 0.9703 0.0077
Ti 1.9285 -0.9703 4.8577
Ti 3.8189 -2.8644 0.0000
V 1.8920 0.9511 2.4244
V -0.0174 -0.9511 7.2744
V 5.7127 0.9534 2.4013
V 3.8033 -0.9534 7.2513
O 1.9482 2.7793 2.8260
O -0.0274 2.8422 9.2966
O 1.9045 0.9411 0.4498
O 1.9931 2.8328 6.8551
O 0.0083 0.8885 7.6800
O 1.9067 0.9484 4.3765
O -0.0049 -0.9411 5.2998
O 3.7415 0.9213 1.9844
O 1.9177 -0.8885 2.8301
O -0.0027 -0.9484 9.2265
O 5.7282 0.9608 0.4061
O 1.8321 -0.9213 6.8344
O 0.0388 -2.7793 7.6760
O 1.8821 -2.8422 4.4466
O 3.8188 -0.9608 5.2561
O 3.9025 -2.8328 2.0052
```

---

VASP calculation (PBE+U) on an optimized crystal structure of Ti3V2O9. Values from VASP.

Properties
**Crystal system**: monoclinic
**Electronic total energy**: -8.40 eV/atom
**Space-group type**: C2/c

```
&SYSTEM
  ibrav = 0, nat = 28, ntyp = 3
/
ATOMIC_SPECIES
Ti 47.87 Ti.upf
V 50.94 V.upf
O 16.00 O.upf
CELL_PARAMETERS angstrom
9.2882 -2.7104 0.0000
9.2882 2.7104 0.0000
-1.2460 0.0000 6.8007
ATOMIC_POSITIONS angstrom
Ti 0.0000 0.0000 0.0000
Ti -0.6230 0.0000 3.4003
Ti 3.6426 0.4365 0.2411
Ti 3.0196 -0.4365 3.6414
Ti 14.3109 0.4365 3.1592
Ti 13.6879 -0.4365 6.5596
V 7.7940 0.2047 0.7541
V 7.1710 -0.2047 4.1544
V 10.1594 0.2047 2.6463
V 9.5364 -0.2047 6.0466
O 7.5707 1.9951 0.0850
O 3.2500 0.5542 2.0969
O 8.3537 1.7055 5.1005
O 5.6282 0.5478 0.4369
O 10.3827 1.9951 3.3153
O 2.6270 -0.5542 5.4973
O 8.0077 0.8479 2.6335
O 9.9457 0.8479 0.7669
O 5.0052 -0.5478 3.8372
O 12.3252 0.5478 2.9635
O 7.3847 -0.8479 6.0338
O 9.3227 -0.8479 4.1672
O 14.7034 0.5542 1.3034
O 6.9478 -1.9951 3.4854
O 11.7022 -0.5478 6.3638
O 8.9767 -1.7055 1.7002
O 14.0804 -0.5542 4.7037
O 9.7597 -1.9951 6.7157
```

---

VASP calculation (PBE+U) on an optimized crystal structure of TiVO4. Values from VASP.

Properties
**Crystal system**: triclinic
**Electronic total energy**: -8.35 eV/atom
**Space-group type**: P1

```
&SYSTEM
  ibrav = 0, nat = 24, ntyp = 3
/
ATOMIC_SPECIES
Ti 47.87 Ti.upf
V 50.94 V.upf
O 16.00 O.upf
CELL_PARAMETERS angstrom
3.8717 0.0000 0.0000
-1.9347 7.3818 0.0000
-0.0020 -3.5608 9.8267
ATOMIC_POSITIONS angstrom
Ti 0.0000 0.0000 0.0000
Ti 0.0005 2.7956 2.4591
Ti 0.0007 5.5954 4.9130
Ti 1.9351 1.0172 7.3688
V -0.0018 -0.3795 9.2203
V 0.0013 5.9795 1.8506
V 1.9355 1.3946 4.3085
V 1.9368 4.1963 6.7653
O 0.0040 -2.1418 8.2281
O -0.0025 1.7480 0.8632
O -0.0010 1.5423 3.9216
O -0.0007 0.8052 7.6857
O -0.0028 4.2248 0.8558
O 0.0012 4.5425 3.3226
O 0.0014 4.3432 6.3803
O 0.0001 7.1639 0.3175
O 1.9385 -0.3621 3.3145
O 1.9346 -0.0400 5.7780
O 1.9339 -0.2349 8.8325
O 1.9375 2.5755 2.7770
O 1.9328 2.4382 5.7719
O 1.9368 2.7642 8.2381
O 1.9377 6.1278 1.4688
O 1.9359 5.3744 5.2299
```

---

VASP calculation (PBE+U) on an optimized crystal structure of Ti3V5O16. Values from VASP.

Properties
**Crystal system**: monoclinic
**Electronic total energy**: -8.12 eV/atom
**Space-group type**: Cm

```
&SYSTEM
  ibrav = 0, nat = 24, ntyp = 3
/
ATOMIC_SPECIES
Ti 47.87 Ti.upf
V 50.94 V.upf
O 16.00 O.upf
CELL_PARAMETERS angstrom
5.1003 -2.9813 0.0000
5.1003 2.9813 0.0000
-0.0187 0.0000 9.0211
ATOMIC_POSITIONS angstrom
Ti 0.0000 0.0000 0.0000
Ti 5.8788 1.4996 4.5523
Ti 5.8788 -1.4996 4.5523
V 3.3710 0.0000 4.4877
V 5.0419 0.0000 7.0235
V 7.6409 1.4817 0.0263
V 8.4180 0.0000 2.5076
V 7.6409 -1.4817 0.0263
O 4.0725 1.7068 1.1858
O 1.6505 0.0000 5.4599
O 1.6865 0.0000 0.9585
O 4.2912 1.2507 5.6817
O 5.9360 1.4641 8.1043
O 3.4712 0.0000 8.0817
O 5.0858 0.0000 3.5219
O 7.6541 1.4510 3.5866
O 4.2912 -1.2507 5.6817
O 6.4877 0.0000 5.7538
O 4.0725 -1.7068 1.1858
O 7.0113 0.0000 1.1755
O 5.9360 -1.4641 8.1043
O 8.4835 0.0000 8.0482
O 10.1126 0.0000 3.5812
O 7.6541 -1.4510 3.5866
```

---

VASP calculation (PBE+U) on an optimized crystal structure of Ti4VO8. Values from VASP.

Properties
**Crystal system**: monoclinic
**Electronic total energy**: -8.73 eV/atom
**Space-group type**: C2/m

```
&SYSTEM
  ibrav = 0, nat = 13, ntyp = 3
/
ATOMIC_SPECIES
Ti 47.87 Ti.upf
V 50.94 V.upf
O 16.00 O.upf
CELL_PARAMETERS angstrom
5.0341 -2.9636 0.0000
5.0341 2.9636 0.0000
-3.2752 0.0000 4.8364
ATOMIC_POSITIONS angstrom
Ti 0.0000 0.0000 0.0000
Ti 2.5171 1.4818 0.0000
Ti 2.5171 -1.4818 0.0000
Ti 3.3965 0.0000 2.4182
V -1.6376 0.0000 2.4182
O -0.1302 0.0000 3.7372
O 4.1633 1.5061 1.2044
O 1.7256 0.0000 1.1559
O 2.6297 1.5061 3.6321
O 4.1633 -1.5061 1.2044
O 5.0674 0.0000 3.6805
O 2.6297 -1.5061 3.6321
O 6.9232 0.0000 1.0992
```

---

VASP calculation (PBE+U) on an optimized crystal structure of TiVO4. Values from VASP.

Properties
**Maximum piezoelectric response**: 3.1 C/m²
**Electronic total energy**: -8.35 eV/atom

```
&SYSTEM
  ibrav = 0, nat = 24, ntyp = 3
/
ATOMIC_SPECIES
Ti 47.87 Ti.upf
V 50.94 V.upf
O 16.00 O.upf
CELL_PARAMETERS angstrom
0.3099 4.1420 3.5735
2.9320 -1.7525 4.2842
7.6361 3.0031 -3.2642
ATOMIC_POSITIONS angstrom
Ti 7.6179 3.9691 4.8146
Ti 2.1796 1.2731 2.5178
Ti 4.3523 2.5457 5.0562
Ti 6.5477 2.8519 -0.5027
V 8.7080 4.1219 2.0596
V 7.6315 3.0015 -3.2603
V 3.2672 1.4246 -0.2381
V 5.4362 2.6953 2.2990
O 4.8863 2.2256 0.4318
O 2.6897 1.9191 5.9932
O 6.2201 0.9465 2.5006
O 1.0916 2.3921 3.7768
O 4.6632 4.4467 2.0786
O 2.1564 -0.0018 4.0655
O 4.8993 3.0141 6.9234
O 7.0968 3.3210 1.3619
O 6.0164 2.3981 -2.3069
O 3.8191 2.0913 3.2548
O 7.6393 5.1960 3.3232
O 2.1994 2.4995 1.0268
O 3.2248 0.1944 1.3047
O 8.6645 2.8912 3.6011
O 5.9463 3.1458 4.1530
O 8.1437 3.4527 -1.4087
```

---

VASP calculation (PBE+U) on an optimized crystal structure of TiVO4. Values from VASP.

Properties
**Electronic total energy**: -8.36 eV/atom

```
&SYSTEM
  ibrav = 0, nat = 24, ntyp = 3
/
ATOMIC_SPECIES
Ti 47.87 Ti.upf
V 50.94 V.upf
O 16.00 O.upf
CELL_PARAMETERS angstrom
-0.0004 -0.0001 5.3682
0.1404 -9.4128 0.0002
5.5359 0.3068 -0.0004
ATOMIC_POSITIONS angstrom
Ti 2.8628 -9.2242 1.3474
Ti 5.5586 -4.3644 1.3477
Ti 4.2333 -2.1601 4.0307
Ti 1.5371 -7.0200 4.0321
V 2.7916 -4.5657 5.3323
V 4.3008 -6.8135 2.6481
V 5.4899 0.2928 5.3313
V 1.4623 -2.2595 2.6471
O 1.0362 -0.8896 1.3002
O 3.8732 -5.4410 1.3020
O 2.4753 -3.2313 4.0912
O 5.3145 -7.7839 4.0926
O 4.6203 -8.1521 1.4090
O 1.7805 -3.5992 1.4086
O 0.3837 -1.3880 3.9852
O 3.2224 -5.9425 3.9873
O 3.0713 -1.2424 2.6941
O 0.3738 -6.1016 2.6965
O 4.5862 -3.4608 5.3616
O 1.8907 -8.3208 5.3628
O 1.1858 -5.5875 0.0121
O 3.8841 -0.7274 0.0091
O 2.5075 -7.9218 2.6774
O 5.2040 -3.0620 2.6776
```

---

We obtain formation enthalpy at 0 K values of -2.7268 -2.6917 -2.9553 -2.9580 -2.9251 -2.9148 -2.9648 -2.7553 -3.1057 -2.9607 -2.9683 eV per atom for the records listed above, in that order.